No. 1
# LiC12 | Materials Project | meta-GGA r2SCAN | relaxed
# VASP energy = -0.3450 hartree per atom
# Symmetry = No. 63
# Energy of formation from the pure elements = -0.52 kcal/mol of atoms
data_LiC12
_chemical_formula_sum 'Li2 C24'
_cell_length_a 4.2794
_cell_length_b 4.2794
_cell_length_c 14.2779
_cell_angle_alpha 90.00
_cell_angle_beta 90.00
_cell_angle_gamma 119.99
_symmetry_space_group_name_H-M 'P 1'
_symmetry_Int_Tables_number 1
loop_
_symmetry_equiv_pos_as_xyz
'x,y,z'
loop_
_atom_site_label
_atom_site_type_symbol
_atom_site_fract_x
_atom_site_fract_y
_atom_site_fract_z
Li1 Li 0.8379 0.8379 0.7500
Li2 Li 0.1621 0.1621 0.2500
C1 C 0.8333 0.1665 0.1194
C2 C 0.8333 0.1665 0.3806
C3 C 0.4998 0.1666 0.1194
C4 C 0.4998 0.1666 0.3806
C5 C 0.8335 0.1667 0.6194
C6 C 0.8335 0.1667 0.8806
C7 C 0.8334 0.5002 0.6194
C8 C 0.8334 0.5002 0.8806
C9 C 0.1665 0.8333 0.1194
C10 C 0.1665 0.8333 0.3806
C11 C 0.8333 0.8333 0.1193
C12 C 0.8333 0.8333 0.3807
C13 C 0.1667 0.8335 0.6194
C14 C 0.1667 0.8335 0.8806
C15 C 0.1667 0.1667 0.6193
C16 C 0.1667 0.1667 0.8807
C17 C 0.4998 0.4998 0.1194
C18 C 0.4998 0.4998 0.3806
C19 C 0.1666 0.4998 0.1194
C20 C 0.1666 0.4998 0.3806
C21 C 0.5002 0.5002 0.6194
C22 C 0.5002 0.5002 0.8806
C23 C 0.5002 0.8334 0.6194
C24 C 0.5002 0.8334 0.8806

---

No. 2
# LaAl8Fe4 | Materials Project | meta-GGA r2SCAN | relaxed
# VASP energy = -0.4118 hartree per atom
# Symmetry = No. 139
# Energy of formation from the pure elements = -7.85 kcal/mol of atoms
data_LaAl8Fe4
_chemical_formula_sum 'La1 Al8 Fe4'
_cell_length_a 5.0055
_cell_length_b 6.7552
_cell_length_c 6.7553
_cell_angle_alpha 97.90
_cell_angle_beta 68.25
_cell_angle_gamma 111.76
_symmetry_space_group_name_H-M 'P 1'
_symmetry_Int_Tables_number 1
loop_
_symmetry_equiv_pos_as_xyz
'x,y,z'
loop_
_atom_site_label
_atom_site_type_symbol
_atom_site_fract_x
_atom_site_fract_y
_atom_site_fract_z
La1 La 0.0000 0.0000 0.0000
Al1 Al 0.5000 0.2287 0.2287
Al2 Al 0.2712 0.7712 0.2288
Al3 Al 0.0000 0.3458 0.3458
Al4 Al 0.6542 0.6542 0.3458
Al5 Al 0.0000 0.6542 0.6542
Al6 Al 0.3458 0.3458 0.6542
Al7 Al 0.5000 0.7713 0.7713
Al8 Al 0.7288 0.2288 0.7712
Fe1 Fe 0.0000 0.5000 0.0000
Fe2 Fe 0.5000 0.5000 0.0000
Fe3 Fe 0.0000 0.0000 0.5000
Fe4 Fe 0.5000 0.0000 0.5000